Entry from the Materials Project: a relaxed structure of NbCrO4 (r²SCAN).

a b c (Å): 4.519 11.618 4.911
angles (deg): 90.00 90.00 90.00
Fractional positions:
O1 0.239 0.441 0.918
O2 0.230 0.690 0.921
O3 0.270 0.190 0.921
O4 0.270 0.810 0.421
O5 0.739 0.059 0.082
O6 0.730 0.190 0.579
O7 0.261 0.059 0.418
O8 0.239 0.559 0.418
O9 0.230 0.310 0.421
O10 0.739 0.941 0.582
O11 0.770 0.690 0.579
O12 0.261 0.941 0.918
O13 0.730 0.810 0.079
O14 0.761 0.441 0.582
O15 0.761 0.559 0.082
O16 0.770 0.310 0.079
Cr1 0.000 0.566 0.750
Cr2 0.500 0.066 0.750
Cr3 0.500 0.934 0.250
Cr4 0.000 0.434 0.250
Nb1 0.500 0.330 0.750
Nb2 0.000 0.170 0.250
Nb3 0.500 0.670 0.250
Nb4 0.000 0.830 0.750

Computed properties:
The volume is 10.7 Å³/atom. For the total moment, the calculation gives 12.00 μB/cell.

---

Entry from the Materials Project: a relaxed structure of Nb2CrOs (r²SCAN).

a b c (Å): 4.452 4.452 4.452
angles (deg): 60.00 60.00 60.00
Fractional positions:
Nb1 0.750 0.750 0.750
Nb2 0.250 0.250 0.250
Cr1 0.500 0.500 0.500
Os1 0.000 0.000 0.000

Computed properties:
The volume is 15.6 Å³/atom. For the total moment, the calculation gives 0.00 μB/cell.

---

Entry from the Materials Project: a relaxed structure of Nb2CrRu (r²SCAN).

a b c (Å): 4.436 4.436 4.436
angles (deg): 60.00 60.00 60.00
Fractional positions:
Ru1 0.000 0.000 0.000
Cr1 0.500 0.500 0.500
Nb1 0.750 0.750 0.750
Nb2 0.250 0.250 0.250

Computed properties:
The volume is 15.4 Å³/atom. For the total moment, the calculation gives 0.00 μB/cell.

---

Entry from the Materials Project: a relaxed structure of TiNbCr4 (r²SCAN).

a b c (Å): 4.863 4.863 4.863
angles (deg): 60.00 60.00 60.00
Fractional positions:
Cr1 0.625 0.125 0.625
Cr2 0.625 0.625 0.625
Cr3 0.125 0.625 0.625
Cr4 0.625 0.625 0.125
Ti1 0.000 0.000 0.000
Nb1 0.250 0.250 0.250

Computed properties:
The volume is 13.6 Å³/atom. For the total moment, the calculation gives 0.00 μB/cell.

---

Entry from the Materials Project: a relaxed structure of NbVCr (r²SCAN).

a b c (Å): 4.972 4.971 4.972
angles (deg): 120.62 119.09 90.26
Fractional positions:
V1 0.500 0.500 0.000
V2 0.000 0.500 0.500
Cr1 0.500 0.500 0.500
Cr2 0.500 0.000 0.000
Nb1 0.126 0.876 0.250
Nb2 0.874 0.124 0.750

Computed properties:
The volume is 14.5 Å³/atom. For the total moment, the calculation gives 0.00 μB/cell.

---

Entry from the Materials Project: a relaxed structure of ZrNbCr4 (r²SCAN).

a b c (Å): 4.962 4.962 4.962
angles (deg): 60.00 60.00 60.00
Fractional positions:
Cr1 0.126 0.625 0.625
Cr2 0.625 0.126 0.625
Cr3 0.625 0.625 0.126
Cr4 0.625 0.625 0.625
Zr1 0.000 0.000 0.000
Nb1 0.250 0.250 0.250

Computed properties:
The volume is 14.4 Å³/atom. For the total moment, the calculation gives 0.00 μB/cell.

---

Number 1: energy relative to the elements -2.6241 eV per atom. Number 2: energy relative to the elements -0.1456 eV per atom. Number 3: energy relative to the elements -0.1026 eV per atom. Number 4: energy relative to the elements 0.0965 eV per atom. Number 5: energy relative to the elements -0.0067 eV per atom. Number 6: energy relative to the elements 0.1509 eV per atom.